[1]
{
  "formula": "Li2FeNiP2O8",
  "functional": "GGA+U",
  "state": "optimized geometry",
  "lattice": [[-1.479, -4.262, 1.456], [-8.660, 1.090, -5.464], [2.670, -2.546, -4.740]],
  "species": ["Li", "Li", "Li", "Li", "Fe", "Fe", "Ni", "Ni", "P", "P", "P", "P", "O", "O", "O", "O", "O", "O", "O", "O", "O", "O", "O", "O", "O", "O", "O", "O"],
  "frac_coords": [[0.000, 0.000, 0.000], [0.000, 0.000, 0.500], [0.500, 0.500, 0.000], [0.500, 0.500, 0.500], [0.024, 0.723, 0.750], [0.976, 0.277, 0.250], [0.484, 0.220, 0.750], [0.516, 0.780, 0.250], [0.418, 0.091, 0.250], [0.581, 0.909, 0.750], [0.917, 0.403, 0.750], [0.083, 0.597, 0.250], [0.705, 0.049, 0.750], [0.295, 0.951, 0.250], [0.742, 0.093, 0.250], [0.258, 0.906, 0.750], [0.241, 0.397, 0.750], [0.759, 0.603, 0.250], [0.203, 0.457, 0.250], [0.797, 0.543, 0.750], [0.283, 0.163, 0.044], [0.283, 0.163, 0.456], [0.717, 0.838, 0.544], [0.717, 0.838, 0.956], [0.778, 0.332, 0.546], [0.778, 0.332, 0.954], [0.222, 0.668, 0.046], [0.222, 0.668, 0.454]],
  "sg": "P2_1/m, No. 11"
}

---

[2]
{
  "formula": "MgCr4O12",
  "functional": "GGA+U",
  "state": "optimized geometry",
  "lattice": [[-6.720, -0.849, -1.686], [2.127, -6.237, -2.300], [0.682, -3.109, 4.741]],
  "species": ["Mg", "Cr", "Cr", "Cr", "Cr", "O", "O", "O", "O", "O", "O", "O", "O", "O", "O", "O", "O"],
  "frac_coords": [[0.912, 0.912, 0.250], [0.205, 0.618, 0.758], [0.388, 0.808, 0.266], [0.618, 0.205, 0.742], [0.808, 0.388, 0.234], [0.039, 0.785, 0.627], [0.094, 0.404, 0.794], [0.206, 0.957, 0.193], [0.355, 0.632, 0.553], [0.404, 0.094, 0.706], [0.340, 0.648, 0.046], [0.632, 0.355, 0.947], [0.620, 0.896, 0.300], [0.648, 0.340, 0.454], [0.785, 0.039, 0.873], [0.896, 0.620, 0.200], [0.957, 0.206, 0.307]],
  "sg": "C2, No. 5",
  "polymorph_energy_mev_per_atom": 0
}

---

[3]
{
  "formula": "Na2Ca17V2P14O56",
  "functional": "GGA+U",
  "state": "optimized geometry",
  "lattice": [[10.441, 0.000, 0.000], [-5.204, 12.848, 0.000], [-0.005, -4.250, 17.576]],
  "species": ["Na", "Na", "Na", "Na", "Ca", "Ca", "Ca", "Ca", "Ca", "Ca", "Ca", "Ca", "Ca", "Ca", "Ca", "Ca", "Ca", "Ca", "Ca", "Ca", "Ca", "Ca", "Ca", "Ca", "Ca", "Ca", "Ca", "Ca", "Ca", "Ca", "Ca", "Ca", "Ca", "Ca", "Ca", "Ca", "Ca", "Ca", "V", "V", "V", "V", "P", "P", "P", "P", "P", "P", "P", "P", "P", "P", "P", "P", "P", "P", "P", "P", "P", "P", "P", "P", "P", "P", "P", "P", "P", "P", "P", "P", "O", "O", "O", "O", "O", "O", "O", "O", "O", "O", "O", "O", "O", "O", "O", "O", "O", "O", "O", "O", "O", "O", "O", "O", "O", "O", "O", "O", "O", "O", "O", "O", "O", "O", "O", "O", "O", "O", "O", "O", "O", "O", "O", "O", "O", "O", "O", "O", "O", "O", "O", "O", "O", "O", "O", "O", "O", "O", "O", "O", "O", "O", "O", "O", "O", "O", "O", "O", "O", "O", "O", "O", "O", "O", "O", "O", "O", "O", "O", "O", "O", "O", "O", "O", "O", "O", "O", "O", "O", "O", "O", "O", "O", "O", "O", "O", "O", "O", "O", "O", "O", "O", "O", "O", "O", "O", "O", "O", "O", "O", "O", "O"],
  "frac_coords": [[0.850, 0.720, 0.089], [0.814, 0.630, 0.269], [0.401, 0.220, 0.140], [0.068, 0.129, 0.023], [0.279, 0.000, 0.899], [0.516, 0.002, 0.689], [0.705, 0.999, 0.913], [0.350, 0.720, 0.591], [0.071, 0.718, 0.891], [0.976, 0.502, 0.649], [0.658, 0.719, 0.881], [0.193, 0.398, 0.538], [0.911, 0.400, 0.834], [0.237, 0.504, 0.939], [0.540, 0.502, 0.664], [0.899, 0.220, 0.640], [0.495, 0.400, 0.828], [0.311, 0.220, 0.629], [0.775, 0.002, 0.398], [0.122, 0.222, 0.837], [0.015, 0.997, 0.189], [0.213, 0.003, 0.413], [0.738, 0.899, 0.584], [0.566, 0.722, 0.391], [0.155, 0.899, 0.578], [0.956, 0.898, 0.789], [0.472, 0.498, 0.146], [0.166, 0.722, 0.381], [0.693, 0.400, 0.039], [0.409, 0.396, 0.332], [0.734, 0.499, 0.440], [0.043, 0.501, 0.161], [0.995, 0.398, 0.327], [0.804, 0.220, 0.131], [0.618, 0.218, 0.340], [0.238, 0.899, 0.084], [0.654, 0.897, 0.078], [0.455, 0.899, 0.288], [0.596, 0.193, 0.866], [0.097, 0.193, 0.365], [0.847, 0.694, 0.616], [0.347, 0.693, 0.115], [0.946, 0.892, 0.982], [0.370, 0.289, 0.961], [0.661, 0.288, 0.705], [0.901, 0.288, 0.978], [0.447, 0.894, 0.482], [0.167, 0.788, 0.711], [0.377, 0.788, 0.955], [0.638, 0.788, 0.728], [0.871, 0.288, 0.461], [0.161, 0.288, 0.204], [0.197, 0.394, 0.732], [0.400, 0.288, 0.478], [0.032, 0.103, 0.522], [0.819, 0.103, 0.774], [0.669, 0.788, 0.211], [0.303, 0.103, 0.755], [0.877, 0.789, 0.455], [0.138, 0.789, 0.229], [0.534, 0.603, 0.524], [0.050, 0.603, 0.505], [0.821, 0.603, 0.772], [0.696, 0.392, 0.232], [0.532, 0.104, 0.023], [0.319, 0.104, 0.274], [0.804, 0.103, 0.255], [0.033, 0.604, 0.025], [0.551, 0.604, 0.005], [0.321, 0.603, 0.272], [0.885, 0.769, 0.959], [0.512, 0.295, 0.925], [0.652, 0.297, 0.795], [0.258, 0.174, 0.940], [0.780, 0.296, 0.929], [0.635, 0.173, 0.663], [0.418, 0.083, 0.799], [0.533, 0.085, 0.933], [0.675, 0.084, 0.809], [0.042, 0.936, 0.920], [0.869, 0.173, 0.987], [0.532, 0.932, 0.561], [0.289, 0.859, 0.672], [0.175, 0.833, 0.797], [0.385, 0.769, 0.462], [0.293, 0.858, 0.948], [0.549, 0.833, 0.689], [0.160, 0.673, 0.688], [0.706, 0.859, 0.808], [0.525, 0.833, 0.930], [0.827, 0.935, 0.986], [0.935, 0.565, 0.792], [0.129, 0.542, 0.532], [0.289, 0.673, 0.912], [0.561, 0.673, 0.736], [0.410, 0.565, 0.572], [0.004, 0.542, 0.941], [0.816, 0.359, 0.699], [0.908, 0.333, 0.547], [0.141, 0.432, 0.669], [0.015, 0.297, 0.425], [0.151, 0.295, 0.294], [0.502, 0.564, 0.919], [0.149, 0.431, 0.811], [0.358, 0.431, 0.736], [0.679, 0.542, 0.798], [0.763, 0.173, 0.438], [0.279, 0.297, 0.429], [0.128, 0.173, 0.159], [0.402, 0.359, 0.559], [0.035, 0.332, 0.939], [0.105, 0.223, 0.559], [0.898, 0.223, 0.779], [0.135, 0.269, 0.711], [0.919, 0.084, 0.300], [0.319, 0.358, 0.921], [0.558, 0.333, 0.680], [0.032, 0.084, 0.433], [0.176, 0.086, 0.310], [0.879, 0.065, 0.542], [0.541, 0.931, 0.419], [0.362, 0.173, 0.486], [0.332, 0.223, 0.773], [0.035, 0.937, 0.060], [0.788, 0.042, 0.690], [0.787, 0.860, 0.173], [0.906, 0.065, 0.822], [0.113, 0.041, 0.549], [0.675, 0.832, 0.298], [0.792, 0.858, 0.449], [0.312, 0.065, 0.669], [0.162, 0.042, 0.782], [0.050, 0.834, 0.191], [0.661, 0.672, 0.193], [0.207, 0.858, 0.309], [0.025, 0.832, 0.429], [0.324, 0.931, 0.486], [0.576, 0.723, 0.529], [0.894, 0.796, 0.544], [0.768, 0.797, 0.678], [0.436, 0.566, 0.292], [0.625, 0.539, 0.032], [0.790, 0.673, 0.409], [0.032, 0.797, 0.675], [0.056, 0.674, 0.238], [0.911, 0.563, 0.073], [0.505, 0.542, 0.440], [0.142, 0.723, 0.523], [0.868, 0.723, 0.809], [0.659, 0.584, 0.560], [0.314, 0.360, 0.200], [0.407, 0.334, 0.047], [0.646, 0.437, 0.171], [0.915, 0.584, 0.550], [0.802, 0.584, 0.683], [0.002, 0.565, 0.418], [0.652, 0.435, 0.311], [0.859, 0.436, 0.237], [0.179, 0.542, 0.299], [0.903, 0.358, 0.059], [0.534, 0.333, 0.439], [0.610, 0.224, 0.058], [0.399, 0.224, 0.281], [0.638, 0.269, 0.213], [0.820, 0.359, 0.422], [0.057, 0.333, 0.180], [0.378, 0.063, 0.040], [0.832, 0.223, 0.273], [0.284, 0.039, 0.191], [0.405, 0.064, 0.322], [0.613, 0.042, 0.048], [0.813, 0.065, 0.169], [0.663, 0.042, 0.282], [0.079, 0.724, 0.028], [0.395, 0.797, 0.044], [0.267, 0.795, 0.179], [0.531, 0.795, 0.175], [0.639, 0.724, 0.022], [0.367, 0.723, 0.309], [0.160, 0.585, 0.060], [0.415, 0.585, 0.050], [0.302, 0.584, 0.183]],
  "sg": "P1, No. 1"
}

---

[4]
{
  "formula": "Li3Mn4O8",
  "functional": "GGA+U",
  "state": "optimized geometry",
  "lattice": [[3.547, 5.995, 4.619], [-4.310, 6.205, -4.682], [-5.799, -6.394, 5.297]],
  "species": ["Li", "Li", "Li", "Li", "Li", "Li", "Li", "Li", "Li", "Li", "Li", "Li", "Mn", "Mn", "Mn", "Mn", "Mn", "Mn", "Mn", "Mn", "Mn", "Mn", "Mn", "Mn", "Mn", "Mn", "Mn", "Mn", "O", "O", "O", "O", "O", "O", "O", "O", "O", "O", "O", "O", "O", "O", "O", "O", "O", "O", "O", "O", "O", "O", "O", "O", "O", "O", "O", "O", "O", "O", "O", "O"],
  "frac_coords": [[0.750, 0.237, 0.001], [0.627, 0.880, 0.751], [0.125, 0.873, 0.751], [0.625, 0.375, 0.749], [0.250, 0.736, 0.999], [0.122, 0.366, 0.748], [0.500, 0.514, 0.503], [0.999, 0.986, 0.496], [0.873, 0.616, 0.249], [0.375, 0.625, 0.250], [0.876, 0.123, 0.251], [0.378, 0.133, 0.252], [0.375, 0.124, 0.749], [0.001, 0.500, 0.501], [0.250, 0.750, 0.500], [0.126, 0.375, 0.250], [0.750, 0.750, 0.500], [0.250, 0.250, 0.500], [0.499, 0.998, 0.000], [0.875, 0.625, 0.750], [0.499, 0.998, 0.499], [0.750, 0.250, 0.500], [0.003, 0.999, 0.002], [0.625, 0.874, 0.250], [0.250, 0.250, 0.000], [0.501, 0.499, 0.999], [0.750, 0.750, 0.000], [0.999, 0.499, 0.000], [0.482, 0.250, 0.988], [0.379, 0.910, 0.757], [0.982, 0.750, 0.989], [0.599, 0.118, 0.739], [0.234, 0.501, 0.489], [0.241, 0.474, 0.999], [0.871, 0.840, 0.743], [0.150, 0.130, 0.761], [0.741, 0.974, 0.000], [0.371, 0.338, 0.742], [0.991, 0.725, 0.500], [0.651, 0.630, 0.761], [0.266, 0.998, 0.511], [0.901, 0.380, 0.261], [0.491, 0.221, 0.499], [0.120, 0.589, 0.242], [0.879, 0.410, 0.757], [0.509, 0.773, 0.500], [0.100, 0.621, 0.740], [0.734, 0.999, 0.488], [0.350, 0.371, 0.240], [0.009, 0.278, 0.501], [0.630, 0.660, 0.257], [0.259, 0.030, 0.001], [0.849, 0.871, 0.239], [0.130, 0.161, 0.258], [0.758, 0.529, 0.000], [0.766, 0.500, 0.512], [0.400, 0.877, 0.260], [0.018, 0.249, 0.012], [0.619, 0.089, 0.242], [0.518, 0.749, 0.011]],
  "sg": "P1, No. 1",
  "polymorph_energy_mev_per_atom": 30
}

---

[5]
{
  "formula": "SrTiFeP3O12",
  "functional": "GGA+U",
  "state": "optimized geometry",
  "lattice": [[8.002, -4.298, 0.000], [8.002, 4.298, 0.000], [5.693, 0.000, 7.078]],
  "species": ["Sr", "Sr", "Ti", "Ti", "Fe", "Fe", "P", "P", "P", "P", "P", "P", "O", "O", "O", "O", "O", "O", "O", "O", "O", "O", "O", "O", "O", "O", "O", "O", "O", "O", "O", "O", "O", "O", "O", "O"],
  "frac_coords": [[0.998, 0.998, 0.998], [0.498, 0.498, 0.498], [0.149, 0.149, 0.149], [0.649, 0.649, 0.649], [0.350, 0.350, 0.350], [0.850, 0.850, 0.850], [0.749, 0.038, 0.465], [0.038, 0.465, 0.749], [0.465, 0.749, 0.038], [0.538, 0.249, 0.965], [0.965, 0.538, 0.249], [0.249, 0.965, 0.538], [0.268, 0.134, 0.515], [0.515, 0.268, 0.134], [0.928, 0.061, 0.283], [0.134, 0.515, 0.268], [0.576, 0.217, 0.434], [0.768, 0.015, 0.634], [0.061, 0.283, 0.928], [0.217, 0.434, 0.576], [0.434, 0.576, 0.217], [0.363, 0.229, 0.993], [0.717, 0.076, 0.934], [0.993, 0.363, 0.229], [0.015, 0.634, 0.768], [0.283, 0.928, 0.061], [0.634, 0.768, 0.015], [0.561, 0.428, 0.783], [0.783, 0.561, 0.428], [0.934, 0.717, 0.076], [0.229, 0.993, 0.363], [0.428, 0.783, 0.561], [0.863, 0.493, 0.729], [0.076, 0.934, 0.717], [0.493, 0.729, 0.863], [0.729, 0.863, 0.493]],
  "sg": "R3c, No. 161"
}

---

[6]
{
  "formula": "Sr2LiZrCrO6",
  "functional": "GGA+U",
  "state": "optimized geometry",
  "lattice": [[-3.254, -2.848, 4.313], [-2.845, 2.847, -4.024], [3.248, -2.849, -4.311]],
  "species": ["Sr", "Sr", "Li", "Zr", "Cr", "O", "O", "O", "O", "O", "O"],
  "frac_coords": [[0.519, 0.257, 0.734], [0.590, 0.793, 0.199], [0.268, 0.632, 0.358], [0.959, 0.479, 0.519], [0.993, 0.996, 0.002], [0.985, 0.241, 0.251], [0.994, 0.754, 0.765], [0.474, 0.239, 0.261], [0.492, 0.744, 0.750], [0.986, 0.742, 0.249], [0.989, 0.242, 0.767]],
  "sg": "P1, No. 1",
  "polymorph_energy_mev_per_atom": 50
}

---

[7]
{
  "formula": "Mn5As4H22O26",
  "functional": "GGA+U",
  "state": "optimized geometry",
  "lattice": [[-6.879, 0.000, 0.000], [-0.758, 7.887, 0.000], [-1.655, 1.545, -10.381]],
  "species": ["Mn", "Mn", "Mn", "Mn", "Mn", "As", "As", "As", "As", "H", "H", "H", "H", "H", "H", "H", "H", "H", "H", "H", "H", "H", "H", "H", "H", "H", "H", "H", "H", "H", "H", "O", "O", "O", "O", "O", "O", "O", "O", "O", "O", "O", "O", "O", "O", "O", "O", "O", "O", "O", "O", "O", "O", "O", "O", "O", "O"],
  "frac_coords": [[0.000, 0.000, 0.000], [0.602, 0.082, 0.594], [0.398, 0.918, 0.406], [0.893, 0.364, 0.430], [0.107, 0.636, 0.570], [0.404, 0.377, 0.361], [0.596, 0.623, 0.639], [0.923, 0.962, 0.327], [0.077, 0.038, 0.673], [0.204, 0.191, 0.294], [0.796, 0.809, 0.706], [0.529, 0.276, 0.788], [0.471, 0.724, 0.212], [0.383, 0.125, 0.827], [0.617, 0.875, 0.173], [0.743, 0.528, 0.219], [0.257, 0.472, 0.781], [0.899, 0.665, 0.221], [0.101, 0.335, 0.779], [0.331, 0.999, 0.102], [0.669, 0.001, 0.898], [0.249, 0.196, 0.062], [0.751, 0.804, 0.938], [0.825, 0.330, 0.009], [0.175, 0.670, 0.991], [0.891, 0.229, 0.142], [0.109, 0.771, 0.858], [0.670, 0.523, 0.885], [0.330, 0.477, 0.115], [0.901, 0.530, 0.869], [0.099, 0.470, 0.131], [0.355, 0.186, 0.300], [0.645, 0.814, 0.700], [0.490, 0.515, 0.224], [0.510, 0.485, 0.776], [0.176, 0.445, 0.441], [0.824, 0.555, 0.559], [0.585, 0.318, 0.460], [0.415, 0.682, 0.540], [0.918, 0.882, 0.176], [0.082, 0.118, 0.824], [0.689, 0.951, 0.424], [0.311, 0.049, 0.576], [0.981, 0.182, 0.292], [0.019, 0.818, 0.708], [0.110, 0.847, 0.411], [0.890, 0.153, 0.589], [0.522, 0.148, 0.793], [0.478, 0.852, 0.207], [0.879, 0.539, 0.238], [0.121, 0.461, 0.762], [0.251, 0.077, 0.044], [0.749, 0.923, 0.956], [0.851, 0.213, 0.059], [0.149, 0.787, 0.941], [0.779, 0.539, 0.933], [0.221, 0.461, 0.067]],
  "sg": "P-1, No. 2"
}

---

[8]
{
  "formula": "Sr2CdWO6",
  "functional": "GGA+U",
  "state": "optimized geometry",
  "lattice": [[0.000, 4.177, 4.177], [4.177, 0.000, 4.177], [4.177, 4.177, 0.000]],
  "species": ["Sr", "Sr", "Cd", "W", "O", "O", "O", "O", "O", "O"],
  "frac_coords": [[0.250, 0.250, 0.250], [0.750, 0.750, 0.750], [0.500, 0.500, 0.500], [0.000, 0.000, 0.000], [0.768, 0.232, 0.768], [0.232, 0.232, 0.768], [0.768, 0.768, 0.232], [0.768, 0.232, 0.232], [0.232, 0.768, 0.232], [0.232, 0.768, 0.768]],
  "sg": "Fm-3m, No. 225"
}

---

| no. | DFT formation energy (eV/f.u.) | total moment (μB/f.u.) |
| --- | --- | --- |
| 1 | -33.886 | 0.00 |
| 2 | -30.057 | 2.00 |
| 3 | -292.432 | 4.00 |
| 4 | -30.980 | 15.00 |
| 5 | -52.191 | 5.00 |
| 6 | -31.618 | 3.00 |
| 7 | -84.798 | 23.00 |
| 8 | -25.413 | 0.00 |